# CdS

CdS after structural relaxation (PBE-GGA, the Materials Project database).

The calculated formation energy comes out at -750 meV per atom. The total energy comes out at -0.1113 hartree per atom.

It has space group Pmmn (No. 59, origin choice 2), with a = 3.8984 Å, b = 5.5115 Å, c = 3.8981 Å, α = 90.00°, β = 90.00° and γ = 90.00°. The inequivalent atoms are Cd at (0.2500, 0.2500, 0.2430) and S at (0.2500, 0.7500, 0.2552).